[1]
An optimized crystal structure of Ba2Sm2Ti2Cu2O11, computed with GGA-PBE.

For the density, the calculation gives 6.52 g/cm³. Its total magnetization is 0.02 μB/f.u. As for the space group: P4/mmm, No. 123. Its energy relative to the elements is -3.03 eV/atom. The calculation puts the total energy at -7.455 eV/atom.

Cell lengths 3.9219, 3.9219, 16.1289 Å; angles 90.00, 90.00, 90.00 degrees
Closest atoms and distances in Å follow each position.
Fractional positions:
O1 0.5000 0.0000 0.1093  2 Ti 1.97
O2 0.0000 0.5000 0.8907  2 Ti 1.97
O3 0.0000 0.0000 0.7607  1 Ti 1.87
O4 0.0000 0.0000 0.2393  1 Ti 1.87
O5 0.5000 0.0000 0.4068  2 Cu 1.97
O6 0.0000 0.5000 0.4068  2 Cu 1.97
O7 0.0000 0.5000 0.1093  2 Ti 1.97
O8 0.5000 0.0000 0.5932  2 Cu 1.97
O9 0.5000 0.0000 0.8907  2 Ti 1.97
O10 0.0000 0.5000 0.5932  2 Cu 1.97
O11 0.0000 0.0000 0.0000  2 Ti 1.99
Ba1 0.5000 0.5000 0.7341  8 O 2.81-3.00
Ba2 0.5000 0.5000 0.2659  8 O 2.81-3.00
Ti1 0.0000 0.0000 0.1233  6 O 1.87-1.99
Ti2 0.0000 0.0000 0.8767  6 O 1.87-1.99
Cu1 0.0000 0.0000 0.3961  4 O 1.97
Cu2 0.0000 0.0000 0.6039  4 O 1.97
Sm1 0.5000 0.5000 0.5000  8 O 2.47
Sm2 0.5000 0.5000 0.0000  12 O 2.64-2.77

---

[2]
An optimized crystal structure of CaSb2P2O10, computed with GGA-PBE.

For the density, the calculation gives 4.16 g/cm³. Its total magnetization is 0.00 μB/f.u. As for the space group: Fdd2, No. 43. Its energy relative to the elements is -2.43 eV/atom. The calculation puts the total energy at -6.677 eV/atom.

Cell lengths 10.3592, 9.1202, 7.3875 Å; angles 76.94, 59.05, 44.00 degrees
Closest atoms and distances in Å follow each position.
Fractional positions:
Sb1 0.8673 0.8854 0.3767  2 O 1.97
Sb2 0.8707 0.3767 0.8854  2 O 1.97
Sb3 0.8733 0.3793 0.3827  2 O 1.97
Sb4 0.3646 0.3827 0.3793  2 O 1.97
O1 0.1862 0.0300 0.2887  1 P 1.56
O2 0.8602 0.6259 0.9412  1 P 1.56
O3 0.8326 0.3352 0.1754  2 Sb 1.97
O4 0.7787 0.0079 0.6903  1 P 1.56
O5 0.4950 0.2887 0.0300  1 P 1.56
O6 0.5597 0.7269 0.4713  1 P 1.56
O7 0.1658 0.8249 0.1309  1 P 1.56
O8 0.5231 0.6903 0.0079  1 P 1.56
O9 0.6568 0.1754 0.3352  2 Sb 1.97
O10 0.9148 0.4174 0.5932  2 Sb 1.97
O11 0.3088 0.6773 0.3898  1 P 1.56
O12 0.5727 0.9412 0.6259  1 P 1.56
O13 0.2200 0.0638 0.7550  1 P 1.56
O14 0.2421 0.4713 0.7269  1 P 1.56
O15 0.8784 0.1309 0.8249  1 P 1.56
O16 0.9613 0.7550 0.0638  1 P 1.56
O17 0.0746 0.5932 0.4174  2 Sb 1.97
O18 0.1191 0.3716 0.0842  1 P 1.56
O19 0.4251 0.0842 0.3716  1 P 1.56
O20 0.6241 0.3898 0.6773  1 P 1.56
Ca1 0.4982 0.0018 0.0018  8 O 2.55-2.65
Ca2 0.2482 0.7518 0.7518  8 O 2.55-2.65
P1 0.4463 0.9562 0.5537  4 O 1.56
P2 0.2938 0.8037 0.2061  4 O 1.56
P3 0.0439 0.5537 0.9562  4 O 1.56
P4 0.6963 0.2061 0.8037  4 O 1.56

---

What did the second record say?
An optimized crystal structure of CaSb2P2O10, computed with GGA-PBE.

For the density, the calculation gives 4.16 g/cm³. Its total magnetization is 0.00 μB/f.u. As for the space group: Fdd2, No. 43. Its energy relative to the elements is -2.43 eV/atom. The calculation puts the total energy at -6.677 eV/atom.

Cell lengths 10.3592, 9.1202, 7.3875 Å; angles 76.94, 59.05, 44.00 degrees
Closest atoms and distances in Å follow each position.
Fractional positions:
Sb1 0.8673 0.8854 0.3767  2 O 1.97
Sb2 0.8707 0.3767 0.8854  2 O 1.97
Sb3 0.8733 0.3793 0.3827  2 O 1.97
Sb4 0.3646 0.3827 0.3793  2 O 1.97
O1 0.1862 0.0300 0.2887  1 P 1.56
O2 0.8602 0.6259 0.9412  1 P 1.56
O3 0.8326 0.3352 0.1754  2 Sb 1.97
O4 0.7787 0.0079 0.6903  1 P 1.56
O5 0.4950 0.2887 0.0300  1 P 1.56
O6 0.5597 0.7269 0.4713  1 P 1.56
O7 0.1658 0.8249 0.1309  1 P 1.56
O8 0.5231 0.6903 0.0079  1 P 1.56
O9 0.6568 0.1754 0.3352  2 Sb 1.97
O10 0.9148 0.4174 0.5932  2 Sb 1.97
O11 0.3088 0.6773 0.3898  1 P 1.56
O12 0.5727 0.9412 0.6259  1 P 1.56
O13 0.2200 0.0638 0.7550  1 P 1.56
O14 0.2421 0.4713 0.7269  1 P 1.56
O15 0.8784 0.1309 0.8249  1 P 1.56
O16 0.9613 0.7550 0.0638  1 P 1.56
O17 0.0746 0.5932 0.4174  2 Sb 1.97
O18 0.1191 0.3716 0.0842  1 P 1.56
O19 0.4251 0.0842 0.3716  1 P 1.56
O20 0.6241 0.3898 0.6773  1 P 1.56
Ca1 0.4982 0.0018 0.0018  8 O 2.55-2.65
Ca2 0.2482 0.7518 0.7518  8 O 2.55-2.65
P1 0.4463 0.9562 0.5537  4 O 1.56
P2 0.2938 0.8037 0.2061  4 O 1.56
P3 0.0439 0.5537 0.9562  4 O 1.56
P4 0.6963 0.2061 0.8037  4 O 1.56

---

Copy entry 1 word for word.
An optimized crystal structure of Ba2Sm2Ti2Cu2O11, computed with GGA-PBE.

For the density, the calculation gives 6.52 g/cm³. Its total magnetization is 0.02 μB/f.u. As for the space group: P4/mmm, No. 123. Its energy relative to the elements is -3.03 eV/atom. The calculation puts the total energy at -7.455 eV/atom.

Cell lengths 3.9219, 3.9219, 16.1289 Å; angles 90.00, 90.00, 90.00 degrees
Closest atoms and distances in Å follow each position.
Fractional positions:
O1 0.5000 0.0000 0.1093  2 Ti 1.97
O2 0.0000 0.5000 0.8907  2 Ti 1.97
O3 0.0000 0.0000 0.7607  1 Ti 1.87
O4 0.0000 0.0000 0.2393  1 Ti 1.87
O5 0.5000 0.0000 0.4068  2 Cu 1.97
O6 0.0000 0.5000 0.4068  2 Cu 1.97
O7 0.0000 0.5000 0.1093  2 Ti 1.97
O8 0.5000 0.0000 0.5932  2 Cu 1.97
O9 0.5000 0.0000 0.8907  2 Ti 1.97
O10 0.0000 0.5000 0.5932  2 Cu 1.97
O11 0.0000 0.0000 0.0000  2 Ti 1.99
Ba1 0.5000 0.5000 0.7341  8 O 2.81-3.00
Ba2 0.5000 0.5000 0.2659  8 O 2.81-3.00
Ti1 0.0000 0.0000 0.1233  6 O 1.87-1.99
Ti2 0.0000 0.0000 0.8767  6 O 1.87-1.99
Cu1 0.0000 0.0000 0.3961  4 O 1.97
Cu2 0.0000 0.0000 0.6039  4 O 1.97
Sm1 0.5000 0.5000 0.5000  8 O 2.47
Sm2 0.5000 0.5000 0.0000  12 O 2.64-2.77

---

What is the total magnetization in the first record?
0.02 μB/f.u.

---

total magnetization of number 1 (Ba2Sm2Ti2Cu2O11)?
0.02 μB/f.u.